Entry from the Materials Project database: crystalline Rh2O3 at its relaxed geometry (PBE).

Results
- Raw total energy: -262.89 eV per cell
- ΔE_f: -1.07 eV/atom
- Energy with MP2020 corrections: -34.9 eV per formula unit

abc: 5.2293 5.5136 14.9600
angles: 90.00 90.00 90.00
Last column: nearest neighbours and their distance in Å.
Space group Pbca (No. 61)
Asymmetric unit:
Rh 0.0013 0.1900 0.0749 [8 per cell]  6 O 2.04-2.09
Rh 0.0013 0.2363 0.8213 [8 per cell]  6 O 2.05-2.17
O 0.1421 0.1278 0.2028 [8 per cell]  4 Rh 2.05-2.17
O 0.1489 0.6511 0.5526 [8 per cell]  4 Rh 2.06-2.10
O 0.1984 0.5200 0.8764 [8 per cell]  4 Rh 2.04-2.14

Entry from the Materials Project database: crystalline Na3La2Zn2PS5O24 at its relaxed geometry (PBE).

Results
- Raw total energy: -696.67 eV per cell
- ΔE_f: -2.36 eV/atom
- Energy with MP2020 corrections: -248.7 eV per formula unit

abc: 9.1219 9.1529 23.8210
angles: 89.89 89.19 60.31
Last column: nearest neighbours and their distance in Å.
Space group P1 (No. 1)
Asymmetric unit:
Na 0.0000 0.0000 0.0000 [1 per cell]  6 O 2.68-2.77
Na 0.0126 0.0038 0.5001 [1 per cell]  6 O 2.59-2.86
Na 0.0418 0.6552 0.4177 [1 per cell]  3 O 2.35-2.45
Na 0.3088 0.3291 0.8351 [1 per cell]  5 O 2.51-2.78
Na 0.3409 0.3193 0.3347 [1 per cell]  6 O 2.59-2.77
Na 0.3546 0.6356 0.2568 [1 per cell]  5 O 2.40-2.66
Na 0.6446 0.3596 0.7505 [1 per cell]  4 O 2.39-2.62
Na 0.6794 0.6726 0.6779 [1 per cell]  3 O 2.47-2.56
Na 0.6936 0.6681 0.1794 [1 per cell]  3 O 2.38-2.55
La 0.0023 0.0004 0.3462 [1 per cell]  6 O 2.31-2.41
La 0.0047 0.0017 0.6510 [1 per cell]  6 O 2.29-2.45
La 0.0071 0.0019 0.8489 [1 per cell]  6 O 2.25-2.41
La 0.6524 0.6643 0.5224 [1 per cell]  6 O 2.23-2.47
La 0.6666 0.6667 0.0226 [1 per cell]  6 O 2.32-2.40
La 0.9924 0.9936 0.1504 [1 per cell]  6 O 2.28-2.46
Zn 0.3100 0.3361 0.6838 [1 per cell]  4 O 1.99-2.17
Zn 0.3169 0.3386 0.1835 [1 per cell]  5 O 2.03-2.15
Zn 0.3356 0.3298 0.9833 [1 per cell]  6 O 2.08-2.26
Zn 0.3472 0.3384 0.4829 [1 per cell]  5 O 2.04-2.21
Zn 0.6700 0.6634 0.3216 [1 per cell]  6 O 2.09-2.31
Zn 0.6854 0.6617 0.8209 [1 per cell]  5 O 2.04-2.27
P 0.0003 0.6757 0.2535 [1 per cell]  4 O 1.54-1.57
P 0.3717 0.6516 0.4133 [1 per cell]  4 O 1.54-1.58
P 0.9935 0.3228 0.7512 [1 per cell]  4 O 1.53-1.57
S 0.0529 0.6154 0.5820 [1 per cell]  4 O 1.47-1.51
S 0.0560 0.3279 0.0833 [1 per cell]  4 O 1.47-1.51
S 0.3203 0.6792 0.7500 [1 per cell]  4 O 1.48-1.49
S 0.3214 0.9969 0.2486 [1 per cell]  4 O 1.47-1.50
S 0.3305 0.0614 0.5827 [1 per cell]  4 O 1.47-1.51
S 0.3299 0.6101 0.0849 [1 per cell]  4 O 1.47-1.51
S 0.3793 0.9704 0.9164 [1 per cell]  4 O 1.48-1.51
S 0.6066 0.0611 0.0840 [1 per cell]  4 O 1.47-1.51
S 0.6123 0.3265 0.5875 [1 per cell]  4 O 1.47-1.51
S 0.6486 0.3728 0.9156 [1 per cell]  4 O 1.48-1.51
S 0.6536 0.9683 0.4166 [1 per cell]  4 O 1.47-1.52
S 0.6799 0.3193 0.2502 [1 per cell]  4 O 1.48-1.49
S 0.6812 0.0009 0.7509 [1 per cell]  4 O 1.48-1.50
S 0.9718 0.3730 0.4171 [1 per cell]  4 O 1.48-1.49
S 0.9772 0.6496 0.9162 [1 per cell]  4 O 1.48-1.50
O 0.0234 0.2094 0.8032 [1 per cell]  1 P 1.55
O 0.0339 0.1758 0.0837 [1 per cell]  1 S 1.50
O 0.0341 0.7885 0.5830 [1 per cell]  1 S 1.51
O 0.0374 0.7544 0.3064 [1 per cell]  1 P 1.57
O 0.1382 0.3340 0.1351 [1 per cell]  1 S 1.47
O 0.1384 0.5353 0.5281 [1 per cell]  1 S 1.48
O 0.1406 0.3616 0.4198 [1 per cell]  1 S 1.49
O 0.1432 0.5228 0.6322 [1 per cell]  1 S 1.47
O 0.1441 0.4955 0.9197 [1 per cell]  1 S 1.48
O 0.1462 0.3230 0.0311 [1 per cell]  1 S 1.47
O 0.1495 0.3423 0.7424 [1 per cell]  1 P 1.53
O 0.1664 0.5066 0.2438 [1 per cell]  1 P 1.55
O 0.1774 0.0383 0.5817 [1 per cell]  1 S 1.51
O 0.1778 0.7840 0.0838 [1 per cell]  1 S 1.51
O 0.1865 0.8076 0.4128 [1 per cell]  1 P 1.58
O 0.2053 0.9895 0.9151 [1 per cell]  1 S 1.51
O 0.2122 0.7571 0.8004 [1 per cell]  1 S 1.48
O 0.2158 0.0295 0.3005 [1 per cell]  1 S 1.49
O 0.2315 0.9691 0.2011 [1 per cell]  1 S 1.50
O 0.2378 0.7861 0.7003 [1 per cell]  1 S 1.49
O 0.3261 0.5215 0.0341 [1 per cell]  1 S 1.47
O 0.3287 0.1508 0.5314 [1 per cell]  1 S 1.47
O 0.3316 0.1433 0.6356 [1 per cell]  1 S 1.47
O 0.3328 0.5273 0.1384 [1 per cell]  1 S 1.47
O 0.3439 0.5074 0.7428 [1 per cell]  1 S 1.49
O 0.3451 0.1426 0.2398 [1 per cell]  1 S 1.47
O 0.3504 0.4928 0.4191 [1 per cell]  1 P 1.57
O 0.3631 0.1395 0.9196 [1 per cell]  1 S 1.48
O 0.4555 0.6746 0.4655 [1 per cell]  1 P 1.54
O 0.4561 0.8735 0.9682 [1 per cell]  1 S 1.49
O 0.4694 0.6424 0.3583 [1 per cell]  1 P 1.55
O 0.4785 0.8793 0.8658 [1 per cell]  1 S 1.48
O 0.4821 0.8888 0.5841 [1 per cell]  1 S 1.50
O 0.4828 0.6308 0.0845 [1 per cell]  1 S 1.50
O 0.4834 0.8369 0.2550 [1 per cell]  1 S 1.49
O 0.4888 0.6651 0.7565 [1 per cell]  1 S 1.49
O 0.4939 0.3595 0.9214 [1 per cell]  1 S 1.48
O 0.5038 0.1364 0.4223 [1 per cell]  1 S 1.47
O 0.5103 0.3358 0.2442 [1 per cell]  1 S 1.49
O 0.5173 0.1488 0.1358 [1 per cell]  1 S 1.47
O 0.5179 0.1582 0.7443 [1 per cell]  1 S 1.48
O 0.5239 0.3284 0.6401 [1 per cell]  1 S 1.48
O 0.5255 0.1456 0.0317 [1 per cell]  1 S 1.47
O 0.5279 0.3242 0.5357 [1 per cell]  1 S 1.47
O 0.6279 0.8872 0.0857 [1 per cell]  1 S 1.51
O 0.6333 0.4789 0.5887 [1 per cell]  1 S 1.50
O 0.6402 0.4649 0.8630 [1 per cell]  1 S 1.49
O 0.6408 0.8828 0.3659 [1 per cell]  1 S 1.48
O 0.6599 0.4902 0.2556 [1 per cell]  1 S 1.49
O 0.6615 0.8518 0.7596 [1 per cell]  1 S 1.48
O 0.6703 0.4577 0.9652 [1 per cell]  1 S 1.48
O 0.6821 0.8637 0.4674 [1 per cell]  1 S 1.49
O 0.7590 0.2169 0.3009 [1 per cell]  1 S 1.49
O 0.7659 0.0303 0.7997 [1 per cell]  1 S 1.50
O 0.7821 0.0391 0.0829 [1 per cell]  1 S 1.51
O 0.7863 0.1742 0.5856 [1 per cell]  1 S 1.51
O 0.7896 0.2362 0.2004 [1 per cell]  1 S 1.48
O 0.7913 0.9692 0.7001 [1 per cell]  1 S 1.50
O 0.8009 0.1994 0.9141 [1 per cell]  1 S 1.51
O 0.8118 0.9833 0.4126 [1 per cell]  1 S 1.52
O 0.8263 0.4935 0.7593 [1 per cell]  1 P 1.56
O 0.8417 0.6596 0.2620 [1 per cell]  1 P 1.54
O 0.8748 0.4507 0.4693 [1 per cell]  1 S 1.48
O 0.8757 0.6728 0.9680 [1 per cell]  1 S 1.48
O 0.8801 0.6348 0.5842 [1 per cell]  1 S 1.50
O 0.8829 0.4813 0.0843 [1 per cell]  1 S 1.51
O 0.8844 0.4765 0.3677 [1 per cell]  1 S 1.48
O 0.8889 0.6383 0.8659 [1 per cell]  1 S 1.48
O 0.9564 0.2359 0.7008 [1 per cell]  1 P 1.57
O 0.9717 0.7971 0.2033 [1 per cell]  1 P 1.57
O 0.9926 0.2010 0.4139 [1 per cell]  1 S 1.49
O 0.9977 0.8020 0.9128 [1 per cell]  1 S 1.50

Entry from the Materials Project database: crystalline Mg44Rh7 at its relaxed geometry (PBE).

Results
- Raw total energy: -1066.63 eV per cell
- ΔE_f: -0.22 eV/atom

abc: 20.1745 20.1745 20.1745
angles: 90.00 90.00 90.00
Last column: nearest neighbours and their distance in Å.
Space group F-43m (No. 216)
Asymmetric unit:
Mg 0.0000 0.0000 0.1058 [24 per cell]  2 Rh 2.82, 10 Mg 2.97-3.05
Mg 0.0305 0.1543 0.3457 [48 per cell]  6 Mg 2.90-3.17, 2 Rh 3.18
Mg 0.0349 0.1423 0.8577 [48 per cell]  2 Rh 2.76-2.97, 7 Mg 2.94-3.06
Mg 0.0541 0.0541 0.4459 [16 per cell]  3 Rh 2.69, 6 Mg 2.90
Mg 0.0554 0.0554 0.2307 [48 per cell]  2 Rh 2.66-2.93, 1 Mg 2.97
Mg 0.0680 0.2500 0.7500 [24 per cell]  8 Mg 3.01-3.23, 2 Rh 3.10
Mg 0.0833 0.0833 0.5833 [16 per cell]  3 Rh 2.87, 9 Mg 2.90-3.06
Mg 0.0879 0.1976 0.1976 [48 per cell]  1 Rh 2.82, 8 Mg 2.94-3.13
Mg 0.0931 0.0931 0.7295 [48 per cell]  10 Mg 2.96-3.23, 2 Rh 2.97
Mg 0.1884 0.1884 0.3116 [16 per cell]  9 Mg 3.07-3.33
Mg 0.1977 0.1977 0.6977 [16 per cell]  3 Rh 2.87, 9 Mg 2.99-3.05
Rh 0.0000 0.0000 0.3368 [24 per cell]  8 Mg 2.66-2.97
Rh 0.0989 0.0989 0.0989 [16 per cell]  12 Mg 2.82-2.97
Rh 0.1670 0.1670 0.8330 [16 per cell]  9 Mg 2.76-2.97

Entry from the Materials Project database: crystalline MgBi4O8 at its relaxed geometry (PBE).

Results
- Raw total energy: -71.41 eV per cell
- ΔE_f: -1.55 eV/atom
- Energy with MP2020 corrections: -76.9 eV per formula unit

abc: 6.9232 6.9255 6.9258
angles: 90.04 119.97 119.97
Last column: nearest neighbours and their distance in Å.
Space group P1 (No. 1)
Asymmetric unit:
Mg 0.0000 0.0000 0.0000 [1 per cell]  4 O 2.05-2.11
Bi 0.2357 0.3714 0.6173 [1 per cell]  6 O 2.27-2.53
Bi 0.2357 0.8656 0.6173 [1 per cell]  6 O 2.26-2.52
Bi 0.7395 0.3703 0.1207 [1 per cell]  6 O 2.25-2.46
Bi 0.7396 0.3703 0.6178 [1 per cell]  6 O 2.25-2.47
O 0.1963 0.5987 0.3851 [1 per cell]  3 Bi 2.25-2.27
O 0.1964 0.5991 0.8101 [1 per cell]  3 Bi 2.25-2.27
O 0.2432 0.1215 0.3632 [1 per cell]  1 Mg 2.05
O 0.2440 0.1221 0.8799 [1 per cell]  1 Mg 2.06
O 0.7512 0.1242 0.8758 [1 per cell]  1 Mg 2.11
O 0.7518 0.6279 0.8762 [1 per cell]  1 Mg 2.10
O 0.7747 0.1778 0.3865 [1 per cell]  3 Bi 2.26-2.27
O 0.7748 0.5980 0.3870 [1 per cell]  3 Bi 2.26-2.27

Entry from the Materials Project database: crystalline Al at its relaxed geometry (PBE).

Results
- Raw total energy: -14.98 eV per cell
- ΔE_f: 0.00 eV/atom

abc: 4.0389 4.0389 4.0389
angles: 90.00 90.00 90.00
Last column: nearest neighbours and their distance in Å.
Space group Fm-3m (No. 225)
Asymmetric unit:
Al 0.0000 0.0000 0.0000 [4 per cell]  12 Al 2.86

Entry from the Materials Project database: crystalline EuUO3 at its relaxed geometry (PBE).

Results
- Raw total energy: -207.05 eV per cell
- ΔE_f: -3.49 eV/atom
- Energy with MP2020 corrections: -53.8 eV per formula unit

abc: 6.1742 8.5490 5.9437
angles: 90.00 90.00 90.00
Last column: nearest neighbours and their distance in Å.
Space group Pnma (No. 62)
Asymmetric unit:
Eu 0.0487 0.2500 0.0111 [4 per cell]  4 O 2.44-2.60
U 0.0000 0.0000 0.5000 [4 per cell]  6 O 2.23-2.28
O 0.0474 0.7500 0.3871 [4 per cell]  2 U 2.26, 1 Eu 2.44
O 0.1942 0.5598 0.8040 [8 per cell]  2 U 2.23-2.28, 1 Eu 2.47